Entry 1:
Here is an optimized crystal structure of Li2Mn3GaO8 from the Materials Project. Energies are from PBE+U.

Cell: 5.905 6.003 10.150 Å, 90.00 125.54 90.00°
Space group Pc (No. 7)
Symmetry-distinct sites (fractional):
Li1 0.000 0.248 0.000 (multiplicity 2)
Li2 0.276 0.249 0.753 (multiplicity 2)
Mn1 0.637 0.000 0.126 (multiplicity 2)
Mn2 0.638 0.238 0.377 (multiplicity 2)
Mn3 0.638 0.499 0.626 (multiplicity 2)
Ga1 0.138 0.249 0.376 (multiplicity 2)
O1 0.406 0.464 0.385 (multiplicity 2)
O2 0.407 0.021 0.392 (multiplicity 2)
O3 0.415 0.220 0.143 (multiplicity 2)
O4 0.416 0.247 0.618 (multiplicity 2)
O5 0.858 0.248 0.134 (multiplicity 2)
O6 0.860 0.220 0.610 (multiplicity 2)
O7 0.866 0.463 0.366 (multiplicity 2)
O8 0.867 0.021 0.360 (multiplicity 2)

Calculated values
DFT formation energy = -204.16 kJ per mole of atoms
DFT total energy = -0.4884 Ry/atom
V = 293 Å³ per cell

Entry 2:
Here is an optimized crystal structure of Li2Mn3GaO8 from the Materials Project. Energies are from PBE+U.

Cell: 10.274 5.819 5.873 Å, 90.00 123.29 90.00°
Space group C2/m (No. 12)
Symmetry-distinct sites (fractional):
Li1 0.113 0.000 0.367 (multiplicity 4)
Mn1 0.000 0.500 0.500 (multiplicity 2)
Mn2 0.250 0.250 0.000 (multiplicity 4)
Ga1 0.000 0.500 0.000 (multiplicity 2)
O1 0.024 0.273 0.768 (multiplicity 8)
O2 0.237 0.500 0.211 (multiplicity 4)
O3 0.243 0.000 0.209 (multiplicity 4)

Calculated values
DFT formation energy = -204.12 kJ per mole of atoms
DFT total energy = -0.4884 Ry/atom
V = 294 Å³ per cell

Entry 3:
Here is an optimized crystal structure of LiGaMo2O8 from the Materials Project. Energies are from PBE+U.

Cell: 6.830 7.190 7.498 Å, 91.14 110.60 104.75°
Space group P-1 (No. 2)
Symmetry-distinct sites (fractional):
Li1 0.231 0.053 0.252 (multiplicity 2)
Ga1 0.406 0.600 0.819 (multiplicity 2)
Mo1 0.177 0.533 0.288 (multiplicity 2)
Mo2 0.332 0.076 0.789 (multiplicity 2)
O1 0.090 0.984 0.828 (multiplicity 2)
O2 0.114 0.553 0.840 (multiplicity 2)
O3 0.245 0.540 0.543 (multiplicity 2)
O4 0.253 0.077 0.542 (multiplicity 2)
O5 0.277 0.772 0.244 (multiplicity 2)
O6 0.312 0.368 0.226 (multiplicity 2)
O7 0.425 0.343 0.891 (multiplicity 2)
O8 0.483 0.884 0.846 (multiplicity 2)

Calculated values
DFT formation energy = -202.10 kJ per mole of atoms
DFT total energy = -0.4866 Ry/atom
V = 331 Å³ per cell